(1)
{
  "formula": "LiCr4In4O12",
  "functional": "GGA+U",
  "state": "relaxed",
  "lattice": [[5.321, -0.028, 0.125], [-0.027, 5.480, -0.046], [0.182, -0.070, 8.075]],
  "species": ["Li", "O", "O", "O", "O", "O", "In", "O", "O", "Cr", "Cr", "In", "O", "O", "O", "O", "In", "Cr", "In", "O", "Cr"],
  "frac_coords": [[0.351, 0.397, 0.055], [0.158, 0.426, 0.264], [0.783, 0.789, 0.073], [0.209, 0.216, 0.587], [0.703, 0.317, 0.447], [0.669, 0.285, 0.090], [0.493, 0.456, 0.719], [0.873, 0.587, 0.723], [0.820, 0.819, 0.423], [0.507, 0.014, 0.500], [0.018, 0.508, 0.495], [0.983, 0.058, 0.227], [0.623, 0.071, 0.753], [0.162, 0.153, 0.956], [0.309, 0.666, 0.918], [0.319, 0.710, 0.557], [0.549, 0.579, 0.287], [0.953, 0.487, 0.981], [0.018, 0.951, 0.748], [0.371, 0.935, 0.253], [0.492, 0.972, 0.001]],
  "formation_enthalpy_0k_ev_per_atom": -1.986,
  "magmom_total_mub_per_cell": 12.998,
  "energy_corrected_mp2020_ry_per_atom": -0.5341
}

(2)
{
  "formula": "LiCr4In4O12",
  "functional": "GGA+U",
  "state": "relaxed",
  "lattice": [[5.222, 0.053, -0.001], [0.055, 5.616, -0.001], [-0.001, -0.001, 7.939]],
  "species": ["Cr", "Cr", "O", "In", "O", "O", "In", "O", "O", "O", "O", "In", "O", "Li", "Cr", "O", "O", "O", "O", "In", "Cr"],
  "frac_coords": [[0.499, 0.994, 0.513], [0.003, 0.496, 0.501], [0.807, 0.799, 0.430], [0.554, 0.611, 0.250], [0.144, 0.438, 0.250], [0.192, 0.196, 0.573], [0.475, 0.437, 0.750], [0.301, 0.694, 0.574], [0.807, 0.799, 0.070], [0.688, 0.300, 0.422], [0.638, 0.066, 0.750], [0.030, 0.934, 0.750], [0.350, 0.937, 0.251], [0.430, 0.232, 0.250], [0.499, 0.994, 0.987], [0.191, 0.196, 0.927], [0.301, 0.694, 0.926], [0.688, 0.300, 0.078], [0.869, 0.561, 0.750], [0.956, 0.064, 0.250], [0.003, 0.496, 0.999]],
  "formation_enthalpy_0k_ev_per_atom": -1.976,
  "magmom_total_mub_per_cell": 12.894,
  "energy_corrected_mp2020_ry_per_atom": -0.5334
}

(3)
{
  "formula": "LiCr4In4O12",
  "functional": "GGA+U",
  "state": "relaxed",
  "lattice": [[-1.509, 0.783, 4.931], [1.071, -5.292, 1.263], [7.558, 2.130, 2.108]],
  "species": ["Li", "Cr", "O", "Cr", "O", "In", "Cr", "O", "O", "In", "In", "O", "O", "O", "In", "O", "O", "Cr", "O", "O", "O"],
  "frac_coords": [[0.368, 0.226, 0.350], [0.995, 0.490, 0.503], [0.654, 0.077, 0.776], [0.528, 0.965, 0.534], [0.864, 0.566, 0.750], [0.039, 0.941, 0.753], [0.495, 0.015, 0.996], [0.339, 0.953, 0.223], [0.294, 0.684, 0.579], [0.471, 0.438, 0.750], [0.531, 0.603, 0.237], [0.204, 0.192, 0.571], [0.145, 0.444, 0.251], [0.704, 0.278, 0.429], [0.940, 0.059, 0.247], [0.701, 0.307, 0.082], [0.798, 0.769, 0.414], [0.000, 0.506, 0.997], [0.793, 0.803, 0.069], [0.205, 0.220, 0.918], [0.296, 0.715, 0.921]],
  "formation_enthalpy_0k_ev_per_atom": -1.989,
  "magmom_total_mub_per_cell": 13.007,
  "energy_corrected_mp2020_ry_per_atom": -0.5343
}

(4)
{
  "formula": "CrInO3",
  "functional": "GGA+U",
  "state": "relaxed",
  "lattice": [[-4.087, 3.235, -0.607], [-3.415, -4.214, 0.531], [-0.227, 1.147, 7.641]],
  "species": ["In", "O", "O", "O", "Cr", "O", "Cr", "O", "O", "O", "In", "O", "O", "Cr", "In", "O", "O", "In", "O", "Cr"],
  "frac_coords": [[0.977, 0.061, 0.250], [0.872, 0.558, 0.750], [0.372, 0.942, 0.250], [0.806, 0.802, 0.431], [0.000, 0.500, 0.000], [0.305, 0.698, 0.931], [0.000, 0.500, 0.500], [0.628, 0.058, 0.750], [0.194, 0.198, 0.931], [0.695, 0.302, 0.431], [0.023, 0.939, 0.750], [0.194, 0.198, 0.569], [0.305, 0.698, 0.569], [0.500, 0.000, 0.000], [0.523, 0.561, 0.250], [0.128, 0.442, 0.250], [0.806, 0.802, 0.069], [0.477, 0.439, 0.750], [0.695, 0.302, 0.069], [0.500, 0.000, 0.500]],
  "formation_enthalpy_0k_ev_per_atom": -2.131,
  "magmom_total_mub_per_cell": 0.000,
  "energy_corrected_mp2020_ry_per_atom": -0.5571
}

(5)
{
  "formula": "Cr3InO8",
  "functional": "GGA+U",
  "state": "relaxed",
  "lattice": [[2.826, 4.300, 0.000], [-2.826, 4.300, 0.000], [0.000, 0.071, 6.534]],
  "species": ["Cr", "O", "O", "O", "O", "O", "O", "Cr", "O", "O", "In", "Cr"],
  "frac_coords": [[0.643, 0.643, 0.265], [0.773, 0.773, 0.455], [0.789, 0.266, 0.268], [0.211, 0.734, 0.732], [0.248, 0.248, 0.951], [0.266, 0.789, 0.268], [0.752, 0.752, 0.049], [0.000, 0.000, 0.500], [0.734, 0.211, 0.732], [0.227, 0.227, 0.545], [0.000, 0.000, 0.000], [0.357, 0.357, 0.735]],
  "formation_enthalpy_0k_ev_per_atom": -1.857,
  "magmom_total_mub_per_cell": 5.000,
  "energy_corrected_mp2020_ry_per_atom": -0.5731
}

(6)
{
  "formula": "Ti2CrIn3O6",
  "functional": "GGA+U",
  "state": "relaxed",
  "lattice": [[5.045, 2.907, 0.000], [-5.045, 2.907, 0.000], [0.000, 1.918, 6.133]],
  "species": ["O", "Ti", "In", "O", "In", "O", "O", "O", "In", "Ti", "O", "Cr"],
  "frac_coords": [[0.384, 0.384, 0.831], [0.168, 0.832, 0.500], [0.000, 0.000, 0.000], [0.274, 0.936, 0.182], [0.664, 0.336, 0.000], [0.616, 0.616, 0.169], [0.726, 0.064, 0.818], [0.936, 0.274, 0.182], [0.336, 0.664, 0.000], [0.832, 0.168, 0.500], [0.064, 0.726, 0.818], [0.500, 0.500, 0.500]],
  "formation_enthalpy_0k_ev_per_atom": -1.659,
  "magmom_total_mub_per_cell": 5.346,
  "energy_corrected_mp2020_ry_per_atom": -0.5102
}

(7)
{
  "formula": "Zn2CrIrO6",
  "functional": "GGA+U",
  "state": "relaxed",
  "lattice": [[5.233, 0.000, 0.009], [0.000, 5.225, 0.000], [0.028, 0.000, 7.644]],
  "species": ["Ir", "Zn", "O", "O", "Zn", "Cr", "Zn", "O", "O", "Cr", "O", "O", "O", "O", "O", "O", "Zn", "O", "Ir", "O"],
  "frac_coords": [[0.500, 0.000, 0.000], [0.491, 0.533, 0.749], [0.828, 0.823, 0.566], [0.677, 0.326, 0.563], [0.991, 0.967, 0.249], [0.000, 0.500, 0.000], [0.509, 0.467, 0.251], [0.117, 0.415, 0.747], [0.617, 0.085, 0.247], [0.500, 0.000, 0.500], [0.177, 0.174, 0.063], [0.823, 0.826, 0.937], [0.883, 0.585, 0.253], [0.383, 0.915, 0.753], [0.323, 0.674, 0.437], [0.172, 0.177, 0.434], [0.009, 0.033, 0.751], [0.328, 0.677, 0.066], [0.000, 0.500, 0.500], [0.672, 0.323, 0.934]],
  "formation_enthalpy_0k_ev_per_atom": -1.631,
  "magmom_total_mub_per_cell": 2.019,
  "energy_corrected_mp2020_ry_per_atom": -0.4925
}

(8)
{
  "formula": "KLaCr2O8",
  "functional": "GGA+U",
  "state": "relaxed",
  "lattice": [[-1.787, -7.317, -0.991], [4.496, -2.100, 7.398], [-9.020, 1.331, 6.442]],
  "species": ["O", "O", "Cr", "K", "K", "La", "O", "O", "Cr", "O", "O", "Cr", "O", "O", "O", "Cr", "O", "Cr", "O", "K", "O", "O", "La", "O", "Cr", "Cr", "O", "O", "La", "O", "O", "O", "O", "La", "K", "O", "O", "O", "O", "O", "O", "O", "O", "O", "Cr", "O", "O", "O"],
  "frac_coords": [[0.973, 0.413, 0.370], [0.527, 0.413, 0.870], [0.336, 0.190, 0.606], [0.152, 0.432, 0.838], [0.652, 0.568, 0.662], [0.837, 0.059, 0.655], [0.941, 0.115, 0.439], [0.752, 0.306, 0.046], [0.664, 0.280, 0.912], [0.311, 0.136, 0.467], [0.001, 0.907, 0.823], [0.164, 0.720, 0.588], [0.473, 0.587, 0.130], [0.748, 0.306, 0.546], [0.499, 0.907, 0.323], [0.336, 0.720, 0.088], [0.689, 0.864, 0.533], [0.164, 0.190, 0.106], [0.027, 0.587, 0.630], [0.348, 0.432, 0.338], [0.131, 0.370, 0.105], [0.248, 0.694, 0.954], [0.163, 0.941, 0.345], [0.181, 0.742, 0.194], [0.836, 0.280, 0.412], [0.664, 0.810, 0.394], [0.681, 0.258, 0.306], [0.869, 0.630, 0.895], [0.663, 0.059, 0.155], [0.631, 0.630, 0.395], [0.341, 0.145, 0.192], [0.999, 0.093, 0.177], [0.819, 0.258, 0.806], [0.337, 0.941, 0.845], [0.848, 0.568, 0.162], [0.811, 0.864, 0.033], [0.501, 0.093, 0.677], [0.159, 0.145, 0.692], [0.841, 0.855, 0.308], [0.059, 0.885, 0.561], [0.189, 0.136, 0.967], [0.441, 0.885, 0.061], [0.559, 0.115, 0.939], [0.252, 0.694, 0.454], [0.836, 0.810, 0.894], [0.319, 0.742, 0.694], [0.659, 0.855, 0.808], [0.369, 0.370, 0.605]],
  "formation_enthalpy_0k_ev_per_atom": -2.356,
  "energy_corrected_mp2020_ry_per_atom": -0.5709
}

(9)
{
  "formula": "KNa2Li3Cr2Si12O30",
  "functional": "GGA+U",
  "state": "relaxed",
  "lattice": [[5.074, -8.789, 0.000], [5.074, 8.789, 0.000], [0.000, 0.000, 14.251]],
  "species": ["O", "Si", "O", "O", "Li", "Si", "Si", "O", "O", "O", "O", "O", "Li", "Na", "Si", "K", "Cr", "O", "Si", "Si", "O", "Si", "O", "Si", "O", "O", "O", "Si", "O", "Si", "O", "O", "Li", "O", "Si", "Cr", "Si", "O", "Si", "Si", "O", "Cr", "Si", "O", "O", "Si", "Si", "O", "O", "O", "O", "Si", "O", "O", "Li", "Si", "O", "Si", "O", "Si", "O", "O", "O", "Si", "Na", "O", "O", "Cr", "O", "Li", "O", "O", "O", "O", "O", "O", "O", "O", "O", "O", "Na", "Si", "Na", "O", "O", "O", "O", "O", "O", "O", "O", "Si", "O", "O", "K", "O", "Li", "O", "O", "O"],
  "frac_coords": [[0.342, 0.508, 0.671], [0.122, 0.765, 0.612], [0.053, 0.276, 0.636], [0.658, 0.166, 0.829], [0.500, 0.500, 0.750], [0.643, 0.878, 0.388], [0.122, 0.765, 0.388], [0.947, 0.224, 0.864], [0.260, 0.402, 0.500], [0.598, 0.740, 0.000], [0.776, 0.724, 0.136], [0.166, 0.508, 0.171], [0.500, 0.000, 0.250], [0.667, 0.333, 0.000], [0.878, 0.235, 0.388], [0.000, 0.000, 0.250], [0.333, 0.667, 0.250], [0.776, 0.053, 0.636], [0.235, 0.357, 0.388], [0.765, 0.643, 0.612], [0.142, 0.402, 0.000], [0.765, 0.122, 0.112], [0.166, 0.508, 0.829], [0.122, 0.357, 0.888], [0.724, 0.776, 0.636], [0.492, 0.834, 0.329], [0.342, 0.834, 0.829], [0.357, 0.122, 0.612], [0.776, 0.724, 0.864], [0.357, 0.235, 0.888], [0.834, 0.492, 0.829], [0.947, 0.224, 0.136], [0.000, 0.500, 0.250], [0.858, 0.598, 0.000], [0.235, 0.357, 0.612], [0.333, 0.667, 0.750], [0.643, 0.878, 0.612], [0.658, 0.492, 0.671], [0.878, 0.643, 0.888], [0.878, 0.235, 0.612], [0.276, 0.224, 0.364], [0.667, 0.333, 0.250], [0.235, 0.878, 0.112], [0.276, 0.053, 0.136], [0.947, 0.724, 0.364], [0.878, 0.643, 0.112], [0.357, 0.122, 0.388], [0.224, 0.276, 0.864], [0.724, 0.776, 0.364], [0.834, 0.492, 0.171], [0.724, 0.947, 0.864], [0.235, 0.878, 0.888], [0.224, 0.276, 0.136], [0.508, 0.342, 0.829], [0.500, 0.000, 0.750], [0.643, 0.765, 0.888], [0.402, 0.260, 0.000], [0.357, 0.235, 0.112], [0.834, 0.342, 0.329], [0.765, 0.643, 0.388], [0.053, 0.776, 0.864], [0.947, 0.724, 0.636], [0.260, 0.858, 0.000], [0.122, 0.357, 0.112], [0.333, 0.667, 0.500], [0.166, 0.658, 0.671], [0.224, 0.947, 0.364], [0.667, 0.333, 0.750], [0.224, 0.947, 0.636], [0.500, 0.500, 0.250], [0.402, 0.142, 0.500], [0.658, 0.492, 0.329], [0.858, 0.260, 0.500], [0.342, 0.508, 0.329], [0.492, 0.658, 0.171], [0.342, 0.834, 0.171], [0.492, 0.658, 0.829], [0.276, 0.224, 0.636], [0.492, 0.834, 0.671], [0.276, 0.053, 0.864], [0.333, 0.667, 0.000], [0.765, 0.122, 0.888], [0.667, 0.333, 0.500], [0.776, 0.053, 0.364], [0.740, 0.598, 0.500], [0.598, 0.858, 0.500], [0.508, 0.342, 0.171], [0.724, 0.947, 0.136], [0.658, 0.166, 0.171], [0.142, 0.740, 0.500], [0.508, 0.166, 0.329], [0.643, 0.765, 0.112], [0.053, 0.776, 0.136], [0.834, 0.342, 0.671], [0.000, 0.000, 0.750], [0.508, 0.166, 0.671], [0.000, 0.500, 0.750], [0.053, 0.276, 0.364], [0.740, 0.142, 0.000], [0.166, 0.658, 0.329]],
  "formation_enthalpy_0k_ev_per_atom": -3.025,
  "magmom_total_mub_per_cell": 12.000,
  "energy_corrected_mp2020_ry_per_atom": -0.5785
}

(10)
{
  "formula": "K8Li3Cr4O16",
  "functional": "GGA+U",
  "state": "relaxed",
  "lattice": [[-4.776, -2.993, 0.645], [4.495, -6.708, 1.897], [0.438, 3.560, 10.529]],
  "species": ["O", "O", "O", "O", "Cr", "O", "O", "O", "K", "O", "K", "O", "Li", "K", "Cr", "O", "O", "O", "K", "K", "Cr", "Li", "K", "O", "Cr", "O", "K", "K", "O", "Li", "O"],
  "frac_coords": [[0.798, 0.588, 0.587], [0.559, 0.214, 0.377], [0.610, 0.442, 0.891], [0.062, 0.304, 0.877], [0.710, 0.784, 0.559], [0.440, 0.814, 0.620], [0.935, 0.694, 0.128], [0.387, 0.559, 0.111], [0.283, 0.524, 0.671], [0.683, 0.091, 0.901], [0.712, 0.499, 0.325], [0.821, 0.302, 0.093], [0.710, 0.528, 0.067], [0.211, 0.005, 0.839], [0.202, 0.720, 0.066], [0.668, 0.797, 0.404], [0.136, 0.067, 0.384], [0.176, 0.400, 0.404], [0.767, 0.988, 0.204], [0.186, 0.738, 0.367], [0.302, 0.224, 0.436], [0.213, 0.973, 0.570], [0.700, 0.764, 0.859], [0.339, 0.204, 0.587], [0.790, 0.279, 0.935], [0.914, 0.926, 0.623], [0.298, 0.236, 0.128], [0.816, 0.248, 0.621], [0.170, 0.695, 0.909], [0.287, 0.473, 0.932], [0.311, 0.910, 0.097]],
  "formation_enthalpy_0k_ev_per_atom": -2.018,
  "magmom_total_mub_per_cell": 3.001,
  "energy_corrected_mp2020_ry_per_atom": -0.4622
}

(11)
{
  "formula": "K4Li5Cr2O8",
  "functional": "GGA+U",
  "state": "relaxed",
  "lattice": [[-3.073, 2.250, -4.136], [-6.734, -5.135, 2.296], [-2.360, 6.850, 8.118]],
  "species": ["O", "Cr", "Cr", "O", "O", "Li", "Li", "O", "Li", "O", "Li", "Li", "O", "O", "K", "O", "O", "O", "O", "K", "Cr", "K", "O", "Cr", "O", "K", "Li", "Li", "O", "O", "O", "K", "K", "Li", "K", "K", "Li", "Li"],
  "frac_coords": [[0.618, 0.460, 0.880], [0.686, 0.777, 0.563], [0.298, 0.215, 0.439], [0.411, 0.820, 0.626], [0.368, 0.545, 0.125], [0.186, 0.991, 0.572], [0.902, 0.532, 0.806], [0.197, 0.404, 0.394], [0.684, 0.510, 0.069], [0.838, 0.607, 0.626], [0.602, 0.027, 0.696], [0.586, 0.738, 0.197], [0.365, 0.192, 0.613], [0.671, 0.107, 0.862], [0.614, 0.780, 0.897], [0.084, 0.059, 0.401], [0.897, 0.675, 0.148], [0.662, 0.789, 0.397], [0.885, 0.935, 0.630], [0.342, 0.507, 0.635], [0.160, 0.710, 0.058], [0.704, 0.464, 0.346], [0.858, 0.321, 0.110], [0.829, 0.289, 0.936], [0.099, 0.321, 0.847], [0.156, 0.010, 0.870], [0.093, 0.471, 0.201], [0.097, 0.758, 0.707], [0.355, 0.887, 0.095], [0.572, 0.182, 0.383], [0.139, 0.693, 0.876], [0.866, 0.270, 0.615], [0.365, 0.219, 0.136], [0.767, 0.012, 0.426], [0.170, 0.768, 0.362], [0.838, 0.023, 0.165], [0.408, 0.261, 0.795], [0.304, 0.487, 0.926]],
  "formation_enthalpy_0k_ev_per_atom": -1.956,
  "magmom_total_mub_per_cell": 10.000,
  "energy_corrected_mp2020_ry_per_atom": -0.4257
}